Here is a geometry-optimized Te2Mo2WSe4 structure from the Materials Project. Energies are from PBE.

## Properties
DFT formation energy in kcal/mol of atoms: -15.8
Energy above the most stable polymorph in this dataset in kJ/mol of formula units: 0

a b c (Å): 3.3975 3.3975 31.3906
angles (deg): 90.00 90.00 120.00
Last column: nearest neighbours and their distance in Å.
Space group P3m1 (No. 156)
Inequivalent atoms, fractional coordinates:
Te 0.0000 0.0000 0.0000  3 Mo 2.71
Te 0.0000 0.0000 0.1192  3 Mo 2.71
Mo 0.6667 0.3333 0.0596  6 Te 2.71
Mo 0.6667 0.3333 0.5969  6 Se 2.56
W 0.0000 0.0000 0.8282  6 Se 2.57
Se 0.0000 0.0000 0.5444  3 Mo 2.56
Se 0.0000 0.0000 0.6494  3 Mo 2.56
Se 0.6667 0.3333 0.7756  3 W 2.57
Se 0.6667 0.3333 0.8809  3 W 2.57